[1]
Compound: Tb4CdPt
Source: the Materials Project
Functional: r2SCAN
Structure: relaxed

## Properties
The value obtained for the total moment is 0.00 Bohr magnetons per cell. The theoretical density is 9.8 g/cm³.

a b c (Å): 9.682 9.682 9.682
angles (deg): 60.00 60.00 60.00
Element x y z (fractional)
Pt  0.143  0.143  0.143
Pt  0.570  0.143  0.143
Tb  0.810  0.190  0.190
Tb  0.564  0.564  0.936
Tb  0.190  0.190  0.810
Cd  0.581  0.581  0.256
Pt  0.143  0.143  0.570
Cd  0.256  0.581  0.581
Tb  0.936  0.564  0.564
Tb  0.944  0.352  0.352
Tb  0.564  0.936  0.936
Tb  0.564  0.936  0.564
Tb  0.810  0.190  0.810
Tb  0.810  0.810  0.190
Tb  0.352  0.352  0.352
Tb  0.352  0.944  0.352
Tb  0.190  0.810  0.190
Tb  0.352  0.352  0.944
Tb  0.190  0.810  0.810
Tb  0.936  0.564  0.936
Cd  0.581  0.581  0.581
Pt  0.143  0.570  0.143
Cd  0.581  0.256  0.581
Tb  0.936  0.936  0.564

[2]
Compound: TbCdPt2
Source: the Materials Project
Functional: r2SCAN
Structure: relaxed

## Properties
The value obtained for the total moment is 0.00 Bohr magnetons per cell. The theoretical density is 14.2 g/cm³.

a b c (Å): 4.780 4.780 4.780
angles (deg): 60.00 60.00 60.00
Element x y z (fractional)
Pt  0.750  0.750  0.750
Pt  0.250  0.250  0.250
Tb  0.000  0.000  0.000
Cd  0.500  0.500  0.500

[3]
Compound: TmCdPt2
Source: the Materials Project
Functional: r2SCAN
Structure: relaxed

## Properties
The value obtained for the total moment is 0.00 Bohr magnetons per cell. The theoretical density is 15.0 g/cm³.

a b c (Å): 4.724 4.724 4.724
angles (deg): 60.00 60.00 60.00
Element x y z (fractional)
Tm  0.750  0.750  0.750
Cd  0.250  0.250  0.250
Pt  0.000  0.000  0.000
Pt  0.500  0.500  0.500

[4]
Compound: PuCd11
Source: the Materials Project
Functional: r2SCAN
Structure: relaxed

## Properties
The value obtained for the total moment is 16.27 Bohr magnetons per cell. The theoretical density is 9.0 g/cm³.

a b c (Å): 9.347 9.347 9.347
angles (deg): 90.00 90.00 90.00
Element x y z (fractional)
Cd  0.656  0.000  0.656
Cd  0.344  0.656  0.000
Cd  0.734  0.266  0.500
Cd  0.157  0.843  0.157
Cd  0.843  0.157  0.157
Cd  0.734  0.500  0.266
Cd  0.734  0.500  0.734
Pu  0.500  0.000  0.000
Cd  0.344  0.000  0.344
Cd  0.656  0.344  0.000
Cd  0.500  0.500  0.500
Cd  0.000  0.344  0.344
Cd  0.656  0.656  0.000
Pu  0.000  0.000  0.500
Cd  0.843  0.157  0.843
Cd  0.344  0.000  0.656
Cd  0.157  0.157  0.157
Cd  0.734  0.734  0.500
Pu  0.000  0.500  0.000
Cd  0.000  0.656  0.344
Cd  0.000  0.344  0.656
Cd  0.500  0.266  0.734
Cd  0.157  0.843  0.843
Cd  0.500  0.266  0.266
Cd  0.843  0.843  0.157
Cd  0.157  0.157  0.843
Cd  0.344  0.344  0.000
Cd  0.843  0.843  0.843
Cd  0.500  0.734  0.734
Cd  0.000  0.656  0.656
Cd  0.266  0.500  0.734
Cd  0.266  0.500  0.266
Cd  0.266  0.734  0.500
Cd  0.500  0.734  0.266
Cd  0.656  0.000  0.344
Cd  0.266  0.266  0.500

[5]
Compound: RbCd13
Source: the Materials Project
Functional: r2SCAN
Structure: relaxed

## Properties
The value obtained for the total moment is 0.00 Bohr magnetons per cell. The theoretical density is 7.7 g/cm³.

a b c (Å): 9.829 9.829 9.829
angles (deg): 60.00 60.00 60.00
Element x y z (fractional)
Cd  0.000  0.000  0.000
Cd  0.059  0.301  0.941
Cd  0.441  0.559  0.199
Cd  0.500  0.500  0.500
Cd  0.699  0.301  0.059
Cd  0.801  0.559  0.441
Cd  0.559  0.801  0.199
Cd  0.199  0.559  0.801
Cd  0.559  0.441  0.801
Cd  0.699  0.941  0.301
Cd  0.699  0.059  0.941
Cd  0.941  0.699  0.059
Cd  0.941  0.059  0.301
Rb  0.250  0.250  0.250
Cd  0.059  0.941  0.699
Cd  0.301  0.059  0.699
Cd  0.801  0.199  0.559
Cd  0.441  0.801  0.559
Cd  0.199  0.441  0.559
Cd  0.199  0.801  0.441
Cd  0.941  0.301  0.699
Rb  0.750  0.750  0.750
Cd  0.059  0.699  0.301
Cd  0.441  0.199  0.801
Cd  0.801  0.441  0.199
Cd  0.301  0.699  0.941
Cd  0.559  0.199  0.441
Cd  0.301  0.941  0.059

[6]
Compound: Rb2Cd3Se4
Source: the Materials Project
Functional: r2SCAN
Structure: relaxed

## Properties
The value obtained for the total moment is 0.00 Bohr magnetons per cell. The theoretical density is 4.9 g/cm³.

a b c (Å): 6.866 11.103 14.777
angles (deg): 90.00 90.00 90.00
Element x y z (fractional)
Se  0.039  0.750  0.860
Cd  0.253  0.750  0.207
Se  0.404  0.537  0.138
Se  0.461  0.750  0.360
Cd  0.685  0.905  0.255
Se  0.904  0.037  0.362
Rb  0.478  0.250  0.038
Cd  0.315  0.095  0.745
Se  0.096  0.537  0.638
Rb  0.978  0.750  0.462
Cd  0.815  0.595  0.755
Cd  0.185  0.095  0.245
Se  0.391  0.250  0.347
Cd  0.753  0.250  0.293
Cd  0.815  0.905  0.755
Cd  0.185  0.405  0.245
Rb  0.000  0.000  0.000
Rb  0.000  0.500  0.000
Cd  0.685  0.595  0.255
Rb  0.500  0.000  0.500
Rb  0.500  0.500  0.500
Cd  0.247  0.750  0.707
Cd  0.747  0.250  0.793
Se  0.891  0.750  0.153
Rb  0.022  0.250  0.538
Se  0.109  0.250  0.847
Se  0.904  0.463  0.362
Se  0.596  0.463  0.862
Se  0.596  0.037  0.862
Se  0.404  0.963  0.138
Se  0.609  0.750  0.653
Cd  0.315  0.405  0.745
Se  0.096  0.963  0.638
Se  0.539  0.250  0.640
Rb  0.522  0.750  0.962
Se  0.961  0.250  0.140

[7]
Compound: Sm2CdRh2
Source: the Materials Project
Functional: r2SCAN
Structure: relaxed

## Properties
The value obtained for the total moment is 0.00 Bohr magnetons per cell. The theoretical density is 9.4 g/cm³.

a b c (Å): 7.531 7.531 3.849
angles (deg): 90.00 90.00 90.00
Element x y z (fractional)
Cd  0.000  0.000  0.000
Sm  0.167  0.333  0.500
Rh  0.135  0.635  0.000
Rh  0.365  0.135  0.000
Cd  0.500  0.500  0.000
Rh  0.635  0.865  0.000
Sm  0.333  0.833  0.500
Sm  0.667  0.167  0.500
Sm  0.833  0.667  0.500
Rh  0.865  0.365  0.000

[8]
Compound: Tb4CdRh
Source: the Materials Project
Functional: r2SCAN
Structure: relaxed

## Properties
The value obtained for the total moment is 0.00 Bohr magnetons per cell. The theoretical density is 9.0 g/cm³.

a b c (Å): 9.611 9.611 9.611
angles (deg): 60.00 60.00 60.00
Element x y z (fractional)
Tb  0.313  0.687  0.313
Tb  0.440  0.060  0.060
Tb  0.687  0.687  0.313
Tb  0.901  0.901  0.298
Tb  0.901  0.901  0.901
Cd  0.670  0.670  0.670
Cd  0.670  0.670  0.991
Rh  0.108  0.677  0.108
Rh  0.677  0.108  0.108
Tb  0.687  0.313  0.313
Tb  0.901  0.298  0.901
Rh  0.108  0.108  0.108
Tb  0.313  0.687  0.687
Tb  0.060  0.060  0.440
Rh  0.108  0.108  0.677
Tb  0.440  0.060  0.440
Tb  0.060  0.440  0.060
Cd  0.670  0.991  0.670
Tb  0.298  0.901  0.901
Tb  0.313  0.313  0.687
Cd  0.991  0.670  0.670
Tb  0.060  0.440  0.440
Tb  0.687  0.313  0.687
Tb  0.440  0.440  0.060

Number 1: energy of formation from the pure elements -0.688 eV per atom. Number 2: energy of formation from the pure elements -0.909 eV per atom. Number 3: energy of formation from the pure elements -0.948 eV per atom. Number 4: energy of formation from the pure elements -0.115 eV per atom. Number 5: energy of formation from the pure elements -0.081 eV per atom. Number 6: energy of formation from the pure elements -1.016 eV per atom. Number 7: energy of formation from the pure elements -0.682 eV per atom. Number 8: energy of formation from the pure elements -0.540 eV per atom.